(1)
Entry from the Materials Project database: Li3Co2Si2O8 after structural relaxation (PBE+U).

```
Li3Co2Si2O8
1.0
5.230 0.000 0.000
0.129 5.229 0.000
0.014 0.018 6.417
Li Co Si O
3 2 2 8
Cartesian
0.000 0.000 0.000
0.734 2.587 1.621
2.768 4.573 4.795
0.796 2.641 4.770
2.713 4.511 1.647
3.352 1.922 0.001
5.191 0.059 3.208
0.292 1.663 3.246
0.714 4.602 4.591
0.760 4.639 1.823
2.680 2.600 5.090
2.708 2.631 1.334
3.145 0.268 0.064
3.704 4.986 3.165
5.030 2.101 6.360
```

Results
formation energy	-2403	meV per atom
electronic total energy	-6.510	eV/atom
distance to the lowest polymorph of the same formula	6.4	meV per atom
total moment	0.47	μB/atom
symmetry	No. 1

***

(2)
Entry from the Materials Project database: Li9Mn2Co5O16 after structural relaxation (PBE+U).

```
Li9Mn2Co5O16
1.0
5.178 -2.908 0.000
5.178 2.908 0.000
-3.600 0.000 9.638
Li Mn Co O
9 2 5 16
Cartesian
0.000 0.000 0.000
2.589 1.454 0.000
0.789 1.454 4.819
1.668 0.000 2.192
-0.097 0.000 7.335
2.589 -1.454 0.000
0.789 -1.454 4.819
6.853 0.000 2.303
5.088 0.000 7.446
-1.800 0.000 4.819
3.378 0.000 4.819
4.293 1.480 2.317
2.463 1.480 7.321
5.178 0.000 0.000
4.293 -1.480 2.317
2.463 -1.480 7.321
-0.228 0.000 3.683
-1.873 0.000 8.275
2.619 1.449 3.761
0.864 1.411 8.400
4.138 1.449 5.877
5.893 1.411 1.239
3.475 0.000 1.201
1.871 0.000 6.031
4.885 0.000 3.607
3.282 0.000 8.437
0.864 -1.411 8.400
2.619 -1.449 3.761
5.893 -1.411 1.239
4.138 -1.449 5.877
8.629 0.000 1.363
6.984 0.000 5.955
```

Results
formation energy	-1812	meV per atom
electronic total energy	-5.802	eV/atom
distance to the lowest polymorph of the same formula	52.5	meV per atom
total moment	0.25	μB/atom
symmetry	No. 12

***

(3)
Entry from the Materials Project database: LiTiV3O10 after structural relaxation (PBE+U).

```
LiTiV3O10
1.0
4.663 -4.723 0.000
4.663 4.723 0.000
-0.169 0.000 4.650
Li Ti V O
1 1 3 10
Cartesian
0.000 0.000 0.000
4.579 -2.359 2.325
4.579 2.371 2.325
2.228 0.003 2.888
6.930 0.003 1.761
3.671 3.418 1.252
2.146 0.003 1.253
5.486 3.418 3.398
3.506 1.379 3.263
5.651 1.379 1.387
3.446 -1.292 3.291
5.711 -1.292 1.358
3.623 -3.499 1.243
7.012 0.003 3.397
5.534 -3.499 3.406
```

Results
formation energy	-2534	meV per atom
electronic total energy	-7.505	eV/atom
total moment	0.00	μB/atom
symmetry	No. 5

***

(4)
Entry from the Materials Project database: Li9Mn2Co5O16 after structural relaxation (PBE+U).

```
Li9Mn2Co5O16
1.0
5.202 -5.743 0.000
5.202 5.743 0.000
-1.926 0.000 4.805
Li Mn Co O
9 2 5 16
Cartesian
0.000 0.000 0.000
1.639 2.852 2.405
0.605 1.410 4.794
1.565 0.014 2.328
2.519 -1.428 0.020
6.839 2.852 2.401
7.873 1.410 0.011
6.913 0.014 2.477
5.959 -1.428 4.785
4.239 4.315 2.403
4.239 -1.462 2.403
5.202 2.879 0.000
4.239 1.446 2.403
5.202 -0.001 0.000
5.202 -2.918 0.000
4.239 -4.331 2.403
2.667 4.210 3.585
-0.138 -0.063 3.475
3.444 2.894 1.306
5.811 4.210 1.220
2.617 1.409 3.692
5.034 2.894 3.499
3.440 -0.051 1.313
5.861 1.409 1.113
2.706 -1.441 3.629
3.423 -2.805 1.294
5.038 -0.051 3.492
5.772 -1.441 1.176
2.629 -4.220 3.610
5.055 -2.805 3.511
8.616 -0.063 1.330
5.848 -4.220 1.195
```

Results
formation energy	-1843	meV per atom
electronic total energy	-5.834	eV/atom
distance to the lowest polymorph of the same formula	20.6	meV per atom
total moment	0.37	μB/atom
symmetry	No. 5

***

(5)
Entry from the Materials Project database: Li2FeNi3O8 after structural relaxation (PBE+U).

```
Li2FeNi3O8
1.0
2.885 1.666 4.793
-2.885 1.666 4.793
0.000 -3.331 4.793
Li Fe Ni O
2 1 3 8
Cartesian
0.000 0.000 1.745
0.000 0.000 12.634
0.000 0.000 7.190
-1.443 -0.833 4.793
-1.443 0.833 9.586
0.000 1.666 4.793
0.000 -1.506 5.846
-1.305 0.753 5.846
0.000 0.000 3.767
-1.305 -0.753 8.533
1.305 0.753 5.846
0.000 0.000 10.612
1.305 -0.753 8.533
0.000 1.506 8.533
```

Results
formation energy	-1312	meV per atom
electronic total energy	-5.158	eV/atom
distance to the lowest polymorph of the same formula	14.0	meV per atom
total moment	0.43	μB/atom
symmetry	No. 166

***

(6)
Entry from the Materials Project database: Li9Mn2Co5O16 after structural relaxation (PBE+U).

```
Li9Mn2Co5O16
1.0
3.011 0.000 0.000
0.405 9.870 0.000
0.375 2.049 9.741
Li Mn Co O
9 2 5 16
Cartesian
0.000 0.000 0.000
3.491 6.389 7.341
1.867 5.886 4.887
1.690 4.822 0.027
1.595 0.545 2.421
2.195 11.378 7.343
3.276 5.356 2.483
3.182 1.028 4.866
3.147 2.682 1.234
2.048 8.646 6.133
3.417 8.138 3.646
0.640 9.135 8.558
1.811 7.595 1.199
1.730 3.163 3.581
1.927 4.242 8.629
3.333 3.701 6.109
0.284 6.335 0.570
0.551 5.464 9.106
0.393 4.464 4.365
0.705 9.921 6.806
1.755 6.852 2.986
2.009 7.910 7.936
1.875 4.940 6.817
1.558 1.369 0.422
1.723 3.990 2.045
1.782 2.463 5.400
2.088 9.418 4.329
2.305 10.394 9.179
3.260 2.943 7.851
3.372 7.343 5.462
3.110 1.944 3.105
3.382 8.905 1.858
```

Results
formation energy	-1792	meV per atom
electronic total energy	-5.783	eV/atom
distance to the lowest polymorph of the same formula	71.6	meV per atom
total moment	0.44	μB/atom
symmetry	No. 1

***

Among the records above, which one has the highest formation energy?
Li2FeNi3O8

***

What is the formula in the sixth record?
Li9Mn2Co5O16